# 1
Below is crystalline KNaPrNbO5 at its relaxed geometry, with properties calculated at the meta-GGA r2SCAN level.

Unit cell a=5.768 b=5.768 c=8.287 alpha=90.00 beta=90.00 gamma=90.00
Space group P4/nmm (No. 129, origin choice 2)
Unique sites:
K  0.250  0.750  0.000 (multiplicity 2)
Na  0.250  0.250  0.241 (multiplicity 2)
Pr  0.250  0.750  0.500 (multiplicity 2)
Nb  0.250  0.250  0.745 (multiplicity 2)
O  0.019  0.019  0.674 (multiplicity 8)
O  0.250  0.250  0.969 (multiplicity 2)

Values from the calculation:
Density ... 4.528 g cm⁻³
Crystal system ... tetragonal
E_form ... -2.851 eV/atom


# 2
Below is crystalline K3NaOs2O9 at its relaxed geometry, with properties calculated at the meta-GGA r2SCAN level.

Unit cell a=5.9825 b=5.9825 c=14.2607 alpha=90.00 beta=90.00 gamma=120.00
Space group P-6m2 (No. 187)
Unique sites:
K  0.0000  0.0000  0.0000 (multiplicity 1)
K  0.0000  0.0000  0.5000 (multiplicity 1)
K  0.3333  0.6667  0.1435 (multiplicity 2)
K  0.6667  0.3333  0.3572 (multiplicity 2)
Na  0.0000  0.0000  0.2503 (multiplicity 2)
Os  0.3333  0.6667  0.3987 (multiplicity 2)
Os  0.6667  0.3333  0.1014 (multiplicity 2)
O  0.0603  0.5302  0.5000 (multiplicity 3)
O  0.1806  0.3611  0.3399 (multiplicity 6)
O  0.3613  0.1806  0.1604 (multiplicity 6)
O  0.5302  0.0604  0.0000 (multiplicity 3)

Values from the calculation:
Density ... 4.994 g cm⁻³
Crystal system ... hexagonal
E_form ... -1.507 eV/atom


# 3
Below is crystalline KNaP6Pb8O24 at its relaxed geometry, with properties calculated at the meta-GGA r2SCAN level.

Unit cell a=9.7762 b=9.7762 c=7.2237 alpha=90.00 beta=90.00 gamma=120.00
Space group P3 (No. 143)
Unique sites:
K  0.0000  0.0000  0.0000 (multiplicity 1)
Na  0.3333  0.6667  0.4813 (multiplicity 1)
P  0.0471  0.7271  0.2379 (multiplicity 3)
P  0.0654  0.3580  0.7242 (multiplicity 3)
Pb  0.0000  0.0000  0.4973 (multiplicity 1)
Pb  0.3333  0.6667  0.9952 (multiplicity 1)
Pb  0.4069  0.3321  0.7298 (multiplicity 3)
Pb  0.4180  0.0787  0.2349 (multiplicity 3)
O  0.0308  0.4213  0.9040 (multiplicity 3)
O  0.0915  0.2495  0.2472 (multiplicity 3)
O  0.1435  0.6422  0.2431 (multiplicity 3)
O  0.1871  0.0088  0.7275 (multiplicity 3)
O  0.1919  0.7526  0.7020 (multiplicity 3)
O  0.3156  0.2597  0.0633 (multiplicity 3)
O  0.3203  0.2528  0.4046 (multiplicity 3)
O  0.4134  0.0032  0.5643 (multiplicity 3)

Values from the calculation:
Density ... 6.359 g cm⁻³
Crystal system ... trigonal
E_form ... -2.156 eV/atom


# 4
Below is crystalline KNaS2O7 at its relaxed geometry, with properties calculated at the meta-GGA r2SCAN level.

Unit cell a=5.857 b=7.107 c=7.376 alpha=100.90 beta=90.40 gamma=95.20
Space group P-1 (No. 2)
Unique sites:
K  0.222  0.276  0.434 (multiplicity 2)
Na  0.199  0.149  0.901 (multiplicity 2)
S  0.279  0.669  0.903 (multiplicity 2)
S  0.294  0.779  0.307 (multiplicity 2)
O  0.102  0.894  0.308 (multiplicity 2)
O  0.103  0.799  0.893 (multiplicity 2)
O  0.228  0.478  0.797 (multiplicity 2)
O  0.266  0.620  0.113 (multiplicity 2)
O  0.278  0.654  0.441 (multiplicity 2)
O  0.486  0.114  0.696 (multiplicity 2)
O  0.492  0.244  0.114 (multiplicity 2)

Values from the calculation:
Density ... 2.636 g cm⁻³
Crystal system ... triclinic
E_form ... -1.801 eV/atom


# 5
Below is crystalline K3NaSe2O8 at its relaxed geometry, with properties calculated at the meta-GGA r2SCAN level.

Unit cell a=10.067 b=5.863 c=15.004 alpha=90.00 beta=90.47 gamma=90.00
Space group C2/c (No. 15)
Unique sites:
K  0.000  0.054  0.250 (multiplicity 4)
K  0.173  0.475  0.911 (multiplicity 8)
Na  0.000  0.000  0.000 (multiplicity 4)
Se  0.164  0.482  0.635 (multiplicity 8)
O  0.083  0.240  0.617 (multiplicity 8)
O  0.085  0.310  0.080 (multiplicity 8)
O  0.173  0.450  0.241 (multiplicity 8)
O  0.185  0.040  0.408 (multiplicity 8)

Values from the calculation:
Density ... 3.196 g cm⁻³
Crystal system ... monoclinic
E_form ... -1.546 eV/atom


# 6
Below is crystalline KNaTe at its relaxed geometry, with properties calculated at the meta-GGA r2SCAN level.

Unit cell a=8.580 b=5.125 c=9.285 alpha=90.00 beta=90.00 gamma=90.00
Space group Pnma (No. 62)
Unique sites:
K  0.014  0.250  0.186 (multiplicity 4)
Na  0.144  0.250  0.573 (multiplicity 4)
Te  0.224  0.750  0.393 (multiplicity 4)

Values from the calculation:
Density ... 3.086 g cm⁻³
Crystal system ... orthorhombic
E_form ... -1.213 eV/atom


# 7
Below is crystalline K6Na4Tl13 at its relaxed geometry, with properties calculated at the meta-GGA r2SCAN level.

Unit cell a=11.570 b=11.570 c=11.570 alpha=90.00 beta=90.00 gamma=90.00
Space group Im-3 (No. 204)
Unique sites:
K  0.000  0.328  0.500 (multiplicity 12)
Na  0.250  0.250  0.250 (multiplicity 8)
Tl  0.000  0.000  0.000 (multiplicity 2)
Tl  0.000  0.142  0.242 (multiplicity 24)

Values from the calculation:
Density ... 6.398 g cm⁻³
Crystal system ... cubic
E_form ... -0.182 eV/atom


# 8
Below is crystalline KNb3O8 at its relaxed geometry, with properties calculated at the meta-GGA r2SCAN level.

Unit cell a=3.829 b=21.448 c=9.002 alpha=90.00 beta=90.00 gamma=90.00
Space group Cmcm (No. 63)
Unique sites:
K  0.000  0.016  0.250 (multiplicity 4)
Nb  0.000  0.242  0.750 (multiplicity 4)
Nb  0.000  0.369  0.058 (multiplicity 8)
O  0.000  0.157  0.592 (multiplicity 8)
O  0.000  0.286  0.250 (multiplicity 4)
O  0.000  0.296  0.593 (multiplicity 8)
O  0.000  0.415  0.250 (multiplicity 4)
O  0.000  0.432  0.567 (multiplicity 8)

Values from the calculation:
Density ... 4.005 g cm⁻³
Crystal system ... orthorhombic
E_form ... -2.718 eV/atom


Which of these has the highest density?
K6Na4Tl13